1.
# Li2MnP2O7 | the Materials Project | GGA+U | relaxed
data_Li2MnP2O7
_cell_length_a 5.132
_cell_length_b 13.878
_cell_length_c 9.338
_cell_angle_alpha 90.00
_cell_angle_beta 120.74
_cell_angle_gamma 90.00
_space_group_name_H-M_alt 'P 1'
_space_group_IT_number 1
loop_
_space_group_symop_operation_xyz
'x,y,z'
loop_
_atom_site_label
_atom_site_type_symbol
_atom_site_fract_x
_atom_site_fract_y
_atom_site_fract_z
Li1 Li 0.042 0.092 0.361
Li2 Li 0.042 0.408 0.861
Li3 Li 0.425 0.191 0.169
Li4 Li 0.425 0.309 0.669
Li5 Li 0.575 0.691 0.331
Li6 Li 0.575 0.809 0.831
Li7 Li 0.958 0.592 0.139
Li8 Li 0.958 0.908 0.639
Mn1 Mn 0.019 0.164 0.729
Mn2 Mn 0.019 0.336 0.229
Mn3 Mn 0.981 0.664 0.771
Mn4 Mn 0.981 0.836 0.271
P1 P 0.275 0.675 0.536
P2 P 0.275 0.825 0.036
P3 P 0.481 0.527 0.779
P4 P 0.481 0.973 0.279
P5 P 0.519 0.027 0.721
P6 P 0.519 0.473 0.221
P7 P 0.725 0.175 0.964
P8 P 0.725 0.325 0.464
O1 O 0.000 0.188 0.141
O2 O 0.000 0.312 0.641
O3 O 0.000 0.688 0.359
O4 O 0.000 0.812 0.859
O5 O 0.228 0.727 0.665
O6 O 0.228 0.773 0.165
O7 O 0.229 0.532 0.823
O8 O 0.229 0.968 0.323
O9 O 0.263 0.102 0.621
O10 O 0.263 0.398 0.121
O11 O 0.307 0.561 0.581
O12 O 0.307 0.939 0.081
O13 O 0.397 0.572 0.219
O14 O 0.397 0.928 0.719
O15 O 0.427 0.203 0.955
O16 O 0.427 0.297 0.455
O17 O 0.573 0.703 0.545
O18 O 0.573 0.797 0.045
O19 O 0.603 0.072 0.281
O20 O 0.603 0.428 0.781
O21 O 0.693 0.061 0.919
O22 O 0.693 0.439 0.419
O23 O 0.737 0.602 0.879
O24 O 0.737 0.898 0.379
O25 O 0.771 0.032 0.677
O26 O 0.771 0.468 0.177
O27 O 0.772 0.227 0.835
O28 O 0.772 0.273 0.335
# Polymorph energy (0 for the lowest one) (meV per atom): 25
# Total magnetization (μB per atom): 0.4168
# Energy relative to the elements (eV per atom): -2.6466

***

2.
# Li2Mn2P2H12O15 | the Materials Project | GGA+U | relaxed
data_Li2Mn2P2H12O15
_cell_length_a 4.838
_cell_length_b 11.542
_cell_length_c 12.125
_cell_angle_alpha 92.95
_cell_angle_beta 90.07
_cell_angle_gamma 102.09
_space_group_name_H-M_alt 'P 1'
_space_group_IT_number 1
loop_
_space_group_symop_operation_xyz
'x,y,z'
loop_
_atom_site_label
_atom_site_type_symbol
_atom_site_fract_x
_atom_site_fract_y
_atom_site_fract_z
Li1 Li 0.013 0.289 0.078
Li2 Li 0.222 0.711 0.422
Li3 Li 0.778 0.289 0.578
Li4 Li 0.987 0.711 0.922
Mn1 Mn 0.078 0.998 0.876
Mn2 Mn 0.421 0.998 0.375
Mn3 Mn 0.579 0.002 0.625
Mn4 Mn 0.922 0.002 0.124
P1 P 0.190 0.170 0.714
P2 P 0.480 0.169 0.214
P3 P 0.520 0.831 0.786
P4 P 0.810 0.830 0.286
H1 H 0.020 0.672 0.126
H2 H 0.095 0.964 0.570
H3 H 0.102 0.273 0.402
H4 H 0.148 0.667 0.624
H5 H 0.166 0.431 0.732
H6 H 0.225 0.485 0.434
H7 H 0.238 0.516 0.068
H8 H 0.241 0.575 0.768
H9 H 0.329 0.728 0.097
H10 H 0.369 0.964 0.070
H11 H 0.432 0.464 0.147
H12 H 0.469 0.536 0.356
H13 H 0.531 0.464 0.644
H14 H 0.568 0.536 0.853
H15 H 0.631 0.036 0.930
H16 H 0.671 0.272 0.903
H17 H 0.759 0.425 0.232
H18 H 0.762 0.484 0.932
H19 H 0.775 0.515 0.566
H20 H 0.834 0.569 0.268
H21 H 0.852 0.333 0.376
H22 H 0.898 0.727 0.598
H23 H 0.905 0.036 0.430
H24 H 0.980 0.328 0.874
O1 O 0.007 0.670 0.567
O2 O 0.044 0.949 0.306
O3 O 0.075 0.278 0.690
O4 O 0.160 0.671 0.068
O5 O 0.185 0.938 0.032
O6 O 0.206 0.157 0.141
O7 O 0.253 0.938 0.533
O8 O 0.270 0.165 0.839
O9 O 0.275 0.440 0.093
O10 O 0.296 0.723 0.812
O11 O 0.316 0.502 0.748
O12 O 0.335 0.561 0.410
O13 O 0.396 0.164 0.339
O14 O 0.407 0.950 0.806
O15 O 0.451 0.158 0.642
O16 O 0.549 0.842 0.358
O17 O 0.593 0.050 0.194
O18 O 0.604 0.836 0.661
O19 O 0.665 0.439 0.590
O20 O 0.684 0.498 0.252
O21 O 0.704 0.277 0.188
O22 O 0.725 0.560 0.907
O23 O 0.730 0.835 0.161
O24 O 0.747 0.062 0.467
O25 O 0.794 0.843 0.859
O26 O 0.815 0.062 0.968
O27 O 0.840 0.329 0.932
O28 O 0.925 0.722 0.310
O29 O 0.956 0.051 0.694
O30 O 0.993 0.330 0.433
# Polymorph energy (0 for the lowest one) (meV per atom): 0
# Total magnetization (μB per atom): 0.0000
# Energy relative to the elements (eV per atom): -1.7915

***

3.
# LiMn4O8 | the Materials Project | GGA+U | relaxed
data_LiMn4O8
_cell_length_a 5.814
_cell_length_b 5.840
_cell_length_c 5.862
_cell_angle_alpha 117.78
_cell_angle_beta 90.19
_cell_angle_gamma 119.74
_space_group_name_H-M_alt 'P 1'
_space_group_IT_number 1
loop_
_space_group_symop_operation_xyz
'x,y,z'
loop_
_atom_site_label
_atom_site_type_symbol
_atom_site_fract_x
_atom_site_fract_y
_atom_site_fract_z
Li1 Li 0.000 0.000 0.000
Mn1 Mn 0.121 0.737 0.364
Mn2 Mn 0.617 0.234 0.862
Mn3 Mn 0.617 0.736 0.364
Mn4 Mn 0.618 0.235 0.366
O1 O 0.362 0.720 0.566
O2 O 0.374 0.189 0.587
O3 O 0.391 0.781 0.163
O4 O 0.415 0.276 0.135
O5 O 0.816 0.188 0.588
O6 O 0.850 0.696 0.570
O7 O 0.862 0.276 0.136
O8 O 0.872 0.744 0.152
# Polymorph energy (0 for the lowest one) (meV per atom): 0
# Total magnetization (μB per atom): 0.9999
# Energy relative to the elements (eV per atom): -1.9273

***

4.
# TaW2O8 | the Materials Project | GGA+U | relaxed
data_TaW2O8
_cell_length_a 5.155
_cell_length_b 5.895
_cell_length_c 10.677
_cell_angle_alpha 90.00
_cell_angle_beta 118.72
_cell_angle_gamma 90.00
_space_group_name_H-M_alt 'P 1'
_space_group_IT_number 1
loop_
_space_group_symop_operation_xyz
'x,y,z'
loop_
_atom_site_label
_atom_site_type_symbol
_atom_site_fract_x
_atom_site_fract_y
_atom_site_fract_z
Ta1 Ta 0.000 0.118 0.250
Ta2 Ta 0.000 0.882 0.750
W1 W 0.241 0.350 0.005
W2 W 0.241 0.650 0.505
W3 W 0.759 0.350 0.495
W4 W 0.759 0.650 0.995
O1 O 0.172 0.392 0.611
O2 O 0.172 0.608 0.111
O3 O 0.212 0.157 0.140
O4 O 0.212 0.843 0.640
O5 O 0.245 0.107 0.883
O6 O 0.245 0.893 0.383
O7 O 0.316 0.380 0.391
O8 O 0.316 0.620 0.891
O9 O 0.684 0.380 0.109
O10 O 0.684 0.620 0.609
O11 O 0.755 0.107 0.617
O12 O 0.755 0.893 0.117
O13 O 0.788 0.157 0.360
O14 O 0.788 0.843 0.860
O15 O 0.828 0.392 0.889
O16 O 0.828 0.608 0.389
# Polymorph energy (0 for the lowest one) (meV per atom): 0
# Total magnetization (μB per atom): 0.0909
# Energy relative to the elements (eV per atom): -2.3892

***

5.
# Sr2CeCoO6 | the Materials Project | GGA+U | relaxed
data_Sr2CeCoO6
_cell_length_a 5.771
_cell_length_b 5.771
_cell_length_c 5.771
_cell_angle_alpha 60.00
_cell_angle_beta 60.00
_cell_angle_gamma 60.00
_space_group_name_H-M_alt 'P 1'
_space_group_IT_number 1
loop_
_space_group_symop_operation_xyz
'x,y,z'
loop_
_atom_site_label
_atom_site_type_symbol
_atom_site_fract_x
_atom_site_fract_y
_atom_site_fract_z
Sr1 Sr 0.250 0.250 0.250
Sr2 Sr 0.750 0.750 0.750
Ce1 Ce 0.000 0.000 0.000
Co1 Co 0.500 0.500 0.500
O1 O 0.268 0.268 0.732
O2 O 0.268 0.732 0.268
O3 O 0.268 0.732 0.732
O4 O 0.732 0.268 0.268
O5 O 0.732 0.268 0.732
O6 O 0.732 0.732 0.268
# Total magnetization (μB per atom): 0.1000
# Energy relative to the elements (eV per atom): -2.7208

***

6.
# Na9FeMo6O24 | the Materials Project | GGA+U | relaxed
data_Na9FeMo6O24
_cell_length_a 10.889
_cell_length_b 10.889
_cell_length_c 10.889
_cell_angle_alpha 87.82
_cell_angle_beta 87.82
_cell_angle_gamma 87.82
_space_group_name_H-M_alt 'P 1'
_space_group_IT_number 1
loop_
_space_group_symop_operation_xyz
'x,y,z'
loop_
_atom_site_label
_atom_site_type_symbol
_atom_site_fract_x
_atom_site_fract_y
_atom_site_fract_z
Na1 Na 0.022 0.260 0.469
Na2 Na 0.064 0.269 0.821
Na3 Na 0.179 0.936 0.731
Na4 Na 0.209 0.468 0.672
Na5 Na 0.260 0.469 0.022
Na6 Na 0.269 0.821 0.064
Na7 Na 0.328 0.791 0.532
Na8 Na 0.468 0.672 0.209
Na9 Na 0.469 0.022 0.260
Na10 Na 0.531 0.978 0.740
Na11 Na 0.532 0.328 0.791
Na12 Na 0.672 0.209 0.468
Na13 Na 0.731 0.179 0.936
Na14 Na 0.740 0.531 0.978
Na15 Na 0.791 0.532 0.328
Na16 Na 0.821 0.064 0.269
Na17 Na 0.936 0.731 0.179
Na18 Na 0.978 0.740 0.531
Fe1 Fe 0.254 0.254 0.254
Fe2 Fe 0.746 0.746 0.746
Mo1 Mo 0.037 0.658 0.873
Mo2 Mo 0.127 0.963 0.342
Mo3 Mo 0.170 0.552 0.359
Mo4 Mo 0.342 0.127 0.963
Mo5 Mo 0.359 0.170 0.552
Mo6 Mo 0.448 0.641 0.830
Mo7 Mo 0.552 0.359 0.170
Mo8 Mo 0.641 0.830 0.448
Mo9 Mo 0.658 0.873 0.037
Mo10 Mo 0.830 0.448 0.641
Mo11 Mo 0.873 0.037 0.658
Mo12 Mo 0.963 0.342 0.127
O1 O 0.004 0.085 0.734
O2 O 0.010 0.601 0.355
O3 O 0.085 0.734 0.004
O4 O 0.095 0.501 0.879
O5 O 0.104 0.728 0.737
O6 O 0.121 0.905 0.499
O7 O 0.131 0.329 0.134
O8 O 0.134 0.131 0.329
O9 O 0.183 0.383 0.369
O10 O 0.228 0.251 0.614
O11 O 0.228 0.608 0.497
O12 O 0.251 0.614 0.228
O13 O 0.263 0.896 0.272
O14 O 0.266 0.996 0.915
O15 O 0.272 0.263 0.896
O16 O 0.329 0.134 0.131
O17 O 0.355 0.010 0.601
O18 O 0.369 0.183 0.383
O19 O 0.383 0.369 0.183
O20 O 0.386 0.772 0.749
O21 O 0.392 0.503 0.772
O22 O 0.399 0.645 0.990
O23 O 0.497 0.228 0.608
O24 O 0.499 0.121 0.905
O25 O 0.501 0.879 0.095
O26 O 0.503 0.772 0.392
O27 O 0.601 0.355 0.010
O28 O 0.608 0.497 0.228
O29 O 0.614 0.228 0.251
O30 O 0.617 0.631 0.817
O31 O 0.631 0.817 0.617
O32 O 0.645 0.990 0.399
O33 O 0.671 0.866 0.869
O34 O 0.728 0.737 0.104
O35 O 0.734 0.004 0.085
O36 O 0.737 0.104 0.728
O37 O 0.749 0.386 0.772
O38 O 0.772 0.392 0.503
O39 O 0.772 0.749 0.386
O40 O 0.817 0.617 0.631
O41 O 0.866 0.869 0.671
O42 O 0.869 0.671 0.866
O43 O 0.879 0.095 0.501
O44 O 0.896 0.272 0.263
O45 O 0.905 0.499 0.121
O46 O 0.915 0.266 0.996
O47 O 0.990 0.399 0.645
O48 O 0.996 0.915 0.266
# Total magnetization (μB per atom): 0.1250
# Energy relative to the elements (eV per atom): -2.1019